Record 1
Density functional theory data (PBE) for crystalline Na6Al2In2Si3S3O24 at its relaxed geometry.

Unit cell a=8.9141 b=8.9604 c=22.2086 alpha=89.35 beta=89.08 gamma=60.64
Closest atoms and distances in Å follow each position.
Atoms (fractional coordinates):
1 Na 0.0000 0.0000 0.0000  3 O 2.31-2.56
2 Na 0.0004 0.6502 0.2542  6 O 2.42-2.63
3 Na 0.0211 0.9457 0.6904  5 O 2.32-2.59
4 Na 0.0233 0.3170 0.1760  5 O 2.39-2.64
5 Na 0.3350 0.6179 0.8553  5 O 2.35-2.59
6 Na 0.3426 0.3241 0.3369  6 O 2.41-2.69
7 Na 0.3503 0.9514 0.0865  2 O 2.35-2.40
8 Na 0.3562 0.9653 0.5918  4 O 2.33-2.61
9 Na 0.6254 0.6465 0.0084  6 O 2.39-2.67
10 Na 0.6347 0.9990 0.5077  6 O 2.38-2.61
11 Na 0.6671 0.3072 0.9275  6 O 2.39-2.60
12 Na 0.6685 0.6844 0.6807  5 O 2.36-2.62
13 Na 0.6707 0.9320 0.1697  5 O 2.37-2.57
14 Na 0.6812 0.2992 0.4162  6 O 2.37-2.64
15 Na 0.7015 0.6090 0.3312  5 O 2.39-2.61
16 Na 0.7133 0.9615 0.8473  5 O 2.38-2.63
17 Na 0.9924 0.6412 0.7700  4 O 2.34-2.61
18 Na 0.9974 0.2820 0.4963  4 O 2.30-2.52
19 Al 0.3491 0.9409 0.9450  4 O 1.79-1.90
20 Al 0.3558 0.9674 0.2455  3 O 1.81-1.89
21 Al 0.7049 0.2934 0.2758  4 O 1.82-1.87
22 Al 0.9729 0.6501 0.0984  4 O 1.78-1.98
23 Al 0.9779 0.6351 0.3962  3 O 1.79-1.85
24 Al 0.9926 0.6651 0.9084  4 O 1.81-1.88
25 In 0.3470 0.9718 0.4320  5 O 2.06-2.30
26 In 0.3553 0.9693 0.7522  4 O 2.05-2.13
27 In 0.6428 0.3248 0.0703  5 O 2.07-2.32
28 In 0.6609 0.3122 0.5725  4 O 2.02-2.23
29 In 0.6865 0.2955 0.7846  5 O 2.04-2.24
30 In 0.9866 0.6530 0.6064  6 O 2.04-2.25
31 Si 0.0455 0.2620 0.3395  4 O 1.63-1.69
32 Si 0.0520 0.9680 0.8471  4 O 1.62-1.66
33 Si 0.2740 0.6452 0.0071  4 O 1.62-1.68
34 Si 0.6433 0.9824 0.3389  4 O 1.64-1.66
35 Si 0.6485 0.6713 0.8461  4 O 1.62-1.66
36 Si 0.6624 0.0153 0.6736  4 O 1.62-1.68
37 Si 0.6638 0.6067 0.1764  4 O 1.62-1.72
38 Si 0.6983 0.9364 0.0064  4 O 1.62-1.67
39 Si 0.7013 0.6404 0.5048  4 O 1.64-1.66
40 S 0.0109 0.9268 0.5041  4 O 1.47-1.51
41 S 0.0125 0.3542 0.0080  4 O 1.47-1.52
42 S 0.2883 0.3573 0.5039  4 O 1.48-1.50
43 S 0.3219 0.2731 0.8463  4 O 1.47-1.51
44 S 0.3319 0.6761 0.3391  4 O 1.48-1.50
45 S 0.3671 0.6065 0.6751  4 O 1.47-1.49
46 S 0.3712 0.3034 0.1802  4 O 1.48-1.52
47 S 0.9702 0.0128 0.1768  4 O 1.48-1.50
48 S 0.9747 0.3042 0.6720  4 O 1.47-1.50
49 O 0.0002 0.4562 0.6691  1 S 1.49
50 O 0.0231 0.4349 0.0666  1 S 1.52
51 O 0.0306 0.8430 0.5644  1 S 1.50
52 O 0.0333 0.7922 0.8486  1 Si 1.66
53 O 0.0343 0.4550 0.3444  1 Si 1.69, 1 Al 1.85
54 O 0.1100 0.1617 0.4041  1 Si 1.64
55 O 0.1392 0.1446 0.6785  1 S 1.47
56 O 0.1418 0.9981 0.1873  1 S 1.49
57 O 0.1495 0.9440 0.7808  1 Si 1.66
58 O 0.1495 0.6657 0.0660  1 Si 1.65, 1 Al 1.79
59 O 0.1578 0.9601 0.5009  1 S 1.48
60 O 0.1585 0.9895 0.9015  1 Si 1.62
61 O 0.1658 0.1832 0.0049  1 S 1.47
62 O 0.1737 0.4464 0.8531  1 S 1.47
63 O 0.1754 0.6576 0.3474  1 S 1.49
64 O 0.1815 0.1554 0.2857  1 Si 1.63
65 O 0.1869 0.6239 0.9467  1 Si 1.62, 1 Al 1.81
66 O 0.1953 0.6192 0.6697  1 S 1.49
67 O 0.1958 0.4389 0.5607  1 S 1.48
68 O 0.1990 0.4552 0.1730  1 S 1.48
69 O 0.1994 0.4585 0.4499  1 S 1.48
70 O 0.2948 0.8219 0.0045  1 Si 1.68
71 O 0.2973 0.2125 0.7866  1 S 1.50
72 O 0.2998 0.1844 0.5050  1 S 1.50
73 O 0.3051 0.7938 0.2881  1 S 1.48
74 O 0.3432 0.7834 0.6765  1 S 1.49
75 O 0.3494 0.1514 0.8953  1 S 1.47
76 O 0.3499 0.1461 0.1868  1 S 1.52
77 O 0.3748 0.7379 0.3951  1 S 1.50
78 O 0.4489 0.5090 0.7298  1 S 1.47
79 O 0.4579 0.3280 0.2324  1 S 1.48
80 O 0.4670 0.3317 0.5033  1 S 1.49
81 O 0.4753 0.4878 0.0053  1 Si 1.65
82 O 0.4757 0.5310 0.6202  1 S 1.49
83 O 0.4829 0.2600 0.1251  1 S 1.49
84 O 0.4830 0.2883 0.8431  1 S 1.51
85 O 0.4828 0.5018 0.3297  1 S 1.49
86 O 0.4949 0.9861 0.6767  1 Si 1.64
87 O 0.4991 0.8017 0.1887  1 Si 1.66
88 O 0.5083 0.9519 0.9978  1 Si 1.64
89 O 0.5099 0.7751 0.8992  1 Si 1.62, 1 Al 1.79
90 O 0.5140 0.8150 0.4997  1 Si 1.64
91 O 0.5290 0.0386 0.4024  1 Si 1.66
92 O 0.5410 0.9374 0.2878  1 Si 1.64, 1 Al 1.81
93 O 0.5931 0.7789 0.7812  1 Si 1.66
94 O 0.6344 0.4953 0.8404  1 Si 1.65
95 O 0.6363 0.5308 0.1140  1 Si 1.62
96 O 0.6454 0.1107 0.6076  1 Si 1.66
97 O 0.6531 0.1569 0.3237  1 Si 1.64, 1 Al 1.83
98 O 0.6978 0.1078 0.7298  1 Si 1.62
99 O 0.7006 0.4555 0.5067  1 Si 1.66
100 O 0.7006 0.4706 0.2326  1 Si 1.66, 1 Al 1.83
101 O 0.7034 0.1169 0.0141  1 Si 1.65
102 O 0.7699 0.6731 0.5687  1 Si 1.64
103 O 0.7773 0.8159 0.0679  1 Si 1.67, 1 Al 1.78
104 O 0.8265 0.8454 0.9495  1 Si 1.62, 1 Al 1.81
105 O 0.8278 0.8027 0.3471  1 Si 1.65, 1 Al 1.81
106 O 0.8347 0.6139 0.4483  1 Si 1.65, 1 Al 1.79
107 O 0.8388 0.6478 0.8571  1 Si 1.63
108 O 0.8413 0.8235 0.6748  1 Si 1.68
109 O 0.8465 0.0973 0.5040  1 S 1.51
110 O 0.8462 0.3029 0.3318  1 Si 1.64, 1 Al 1.82
111 O 0.8482 0.1037 0.2280  1 S 1.50
112 O 0.8478 0.6213 0.1679  1 Si 1.72
113 O 0.8531 0.1289 0.8490  1 Si 1.65
114 O 0.8545 0.3336 0.0109  1 S 1.51
115 O 0.8552 0.3407 0.7235  1 S 1.48
116 O 0.8982 0.2844 0.6150  1 S 1.50
117 O 0.9017 0.1162 0.1209  1 S 1.49
118 O 0.9785 0.8439 0.1735  1 S 1.48
119 O 0.9877 0.4685 0.9567  1 S 1.47
120 O 0.9994 0.8244 0.4550  1 S 1.47

Summary:
Total energy after the MP2020 corrections: -799.1 eV per cell
Crystal system: triclinic
Symmetry: P1, No. 1
Calculated formation energy: -98.00 eV/f.u.

Record 2
Density functional theory data (PBE) for crystalline Na6Al4In4Si3S9O48 at its relaxed geometry.

Unit cell a=8.7337 b=15.0990 c=22.4449 alpha=90.11 beta=90.27 gamma=90.09
Closest atoms and distances in Å follow each position.
Atoms (fractional coordinates):
1 Na 0.0000 0.0000 0.0000  4 O 2.34-2.59
2 Na 0.0022 0.3128 0.6740  4 O 2.42-2.65
3 Na 0.0037 0.9939 0.4940  6 O 2.38-2.64
4 Na 0.1323 0.4825 0.7567  5 O 2.32-2.51
5 Na 0.1373 0.8289 0.4092  7 O 2.39-2.67
6 Na 0.3477 0.3278 0.9170  5 O 2.36-2.59
7 Na 0.3552 0.9842 0.2402  5 O 2.33-2.49
8 Na 0.4757 0.8220 0.1676  2 O 2.29-2.51
9 Na 0.4795 0.4943 0.9966  5 O 2.39-2.56
10 Na 0.4905 0.1560 0.3286  4 O 2.40-2.62
11 Na 0.4986 0.1440 0.8389  6 O 2.37-2.53
12 Na 0.5009 0.4980 0.4938  6 O 2.41-2.70
13 Na 0.5107 0.8254 0.6725  1 O 2.25
14 Na 0.6426 0.3282 0.4107  7 O 2.42-2.59
15 Na 0.8388 0.8292 0.9171  5 O 2.34-2.56
16 Na 0.9710 0.3209 0.1708  2 O 2.29-2.49
17 Na 0.9843 0.6452 0.3359  6 O 2.40-2.62
18 Na 0.9893 0.6586 0.8348  6 O 2.46-2.66
19 Al 0.0030 0.9873 0.3490  4 O 1.76-1.93
20 Al 0.4827 0.4880 0.8522  2 O 1.76-1.81
21 Al 0.4837 0.1481 0.4787  4 O 1.76-1.95
22 Al 0.4873 0.8298 0.3179  4 O 1.79-2.00
23 Al 0.4941 0.1437 0.9868  3 O 1.71-1.88
24 Al 0.4950 0.1625 0.1821  4 O 1.77-1.90
25 Al 0.5063 0.4804 0.3454  4 O 1.79-1.91
26 Al 0.9804 0.9820 0.8484  4 O 1.79-1.95
27 Al 0.9848 0.6543 0.4821  4 O 1.74-1.91
28 Al 0.9864 0.6627 0.6884  3 O 1.75-1.92
29 Al 0.9968 0.6480 0.9800  5 O 1.78-1.98
30 Al 0.9994 0.3270 0.8204  4 O 1.80-1.97
31 In 0.0036 0.9820 0.1477  4 O 2.03-2.22
32 In 0.4810 0.8235 0.5141  5 O 2.03-2.24
33 In 0.4838 0.4812 0.6505  5 O 2.02-2.25
34 In 0.4864 0.1574 0.6927  6 O 2.01-2.21
35 In 0.4918 0.8456 0.0201  4 O 2.02-2.20
36 In 0.4991 0.4906 0.1481  2 O 1.98-2.14
37 In 0.5047 0.8306 0.8198  4 O 2.01-2.22
38 In 0.9763 0.3301 0.3174  5 O 2.01-2.23
39 In 0.9806 0.9902 0.6499  3 O 1.98-2.21
40 In 0.9837 0.3299 0.5134  5 O 2.02-2.24
41 In 0.9988 0.3214 0.0149  6 O 2.03-2.24
42 In 0.9987 0.6578 0.1919  6 O 2.02-2.25
43 Si 0.1433 0.4746 0.9153  4 O 1.63-1.65
44 Si 0.1468 0.8392 0.2578  4 O 1.63-1.65
45 Si 0.3364 0.3409 0.7565  4 O 1.62-1.66
46 Si 0.3372 0.9744 0.4148  4 O 1.63-1.66
47 Si 0.3466 0.0185 0.0894  4 O 1.62-1.65
48 Si 0.6319 0.3341 0.2481  4 O 1.63-1.66
49 Si 0.6508 0.9832 0.9162  4 O 1.62-1.66
50 Si 0.8335 0.4816 0.4175  4 O 1.62-1.66
51 Si 0.8459 0.8371 0.7495  4 O 1.63-1.66
52 S 0.1301 0.5196 0.5856  4 O 1.48-1.49
53 S 0.1309 0.7927 0.5820  4 O 1.48-1.50
54 S 0.1347 0.1366 0.2538  4 O 1.47-1.49
55 S 0.1368 0.1704 0.9135  4 O 1.46-1.50
56 S 0.1866 0.8211 0.9169  4 O 1.47-1.51
57 S 0.1996 0.1566 0.5798  4 O 1.48-1.50
58 S 0.2089 0.4870 0.2532  4 O 1.47-1.49
59 S 0.2750 0.9866 0.7525  4 O 1.47-1.49
60 S 0.2830 0.6545 0.0797  4 O 1.47-1.51
61 S 0.2961 0.3216 0.4190  4 O 1.46-1.51
62 S 0.3428 0.6364 0.7495  4 O 1.46-1.51
63 S 0.3437 0.6703 0.4162  4 O 1.46-1.51
64 S 0.3510 0.2962 0.0798  4 O 1.47-1.50
65 S 0.6273 0.6400 0.2562  4 O 1.47-1.49
66 S 0.6336 0.0140 0.5816  4 O 1.47-1.49
67 S 0.6354 0.2976 0.5798  4 O 1.47-1.50
68 S 0.6406 0.6661 0.9193  4 O 1.47-1.50
69 S 0.6990 0.3267 0.9132  4 O 1.48-1.50
70 S 0.7078 0.9858 0.2549  4 O 1.48-1.50
71 S 0.7102 0.6562 0.5850  4 O 1.48-1.50
72 S 0.7729 0.1591 0.0839  4 O 1.47-1.50
73 S 0.7837 0.4879 0.7520  4 O 1.47-1.51
74 S 0.7860 0.8241 0.4165  4 O 1.48-1.51
75 S 0.8376 0.1647 0.4197  4 O 1.46-1.50
76 S 0.8469 0.7934 0.0785  4 O 1.48-1.49
77 S 0.8486 0.5135 0.0818  4 O 1.47-1.49
78 S 0.8553 0.1402 0.7557  4 O 1.46-1.50
79 O 0.0586 0.1972 0.9699  1 S 1.50
80 O 0.0597 0.4266 0.8581  1 Si 1.64, 1 Al 1.80
81 O 0.0620 0.1042 0.1982  1 S 1.48
82 O 0.0619 0.4289 0.5842  1 S 1.49
83 O 0.0620 0.5703 0.9261  1 Si 1.63, 1 Al 1.78
84 O 0.0626 0.7429 0.2568  1 Si 1.63
85 O 0.0639 0.8828 0.5818  1 S 1.48
86 O 0.0695 0.8897 0.3146  1 Si 1.63, 1 Al 1.76
87 O 0.0719 0.7469 0.9256  1 S 1.51
88 O 0.0752 0.5624 0.6415  1 S 1.49
89 O 0.0760 0.7488 0.5256  1 S 1.50
90 O 0.0842 0.2284 0.2625  1 S 1.47
91 O 0.0873 0.0802 0.8990  1 S 1.46
92 O 0.0867 0.5698 0.5317  1 S 1.48
93 O 0.0867 0.7416 0.6353  1 S 1.48
94 O 0.0938 0.0800 0.3057  1 S 1.49
95 O 0.0960 0.9037 0.9080  1 S 1.49
96 O 0.0993 0.2362 0.5755  1 S 1.49
97 O 0.1011 0.2356 0.8655  1 S 1.49
98 O 0.1025 0.5638 0.2565  1 S 1.49
99 O 0.1044 0.0740 0.5803  1 S 1.50
100 O 0.1226 0.4030 0.2554  1 S 1.47
101 O 0.1354 0.8994 0.1978  1 Si 1.63
102 O 0.1436 0.4048 0.9718  1 Si 1.65
103 O 0.1501 0.3293 0.7647  1 Si 1.65, 1 Al 1.82
104 O 0.1524 0.9892 0.4055  1 Si 1.64, 1 Al 1.82
105 O 0.1599 0.0112 0.0837  1 Si 1.64
106 O 0.1691 0.9948 0.8027  1 S 1.47
107 O 0.1708 0.6326 0.7415  1 S 1.51
108 O 0.1721 0.6721 0.4258  1 S 1.51
109 O 0.1777 0.6474 0.0279  1 S 1.48
110 O 0.1801 0.2991 0.0819  1 S 1.49
111 O 0.1980 0.9871 0.6931  1 S 1.49
112 O 0.1989 0.2984 0.3679  1 S 1.46
113 O 0.2008 0.6634 0.1369  1 S 1.48
114 O 0.2079 0.3360 0.4749  1 S 1.49
115 O 0.2775 0.8329 0.9717  1 S 1.47
116 O 0.2794 0.7975 0.8644  1 S 1.48
117 O 0.2829 0.1657 0.6368  1 S 1.48
118 O 0.2856 0.4879 0.1946  1 S 1.48
119 O 0.3010 0.5145 0.5845  1 S 1.49
120 O 0.3018 0.7959 0.5828  1 S 1.49
121 O 0.3031 0.1510 0.5279  1 S 1.48
122 O 0.3047 0.1349 0.2504  1 S 1.49
123 O 0.3075 0.1731 0.9210  1 S 1.50
124 O 0.3158 0.4949 0.3042  1 S 1.48
125 O 0.3289 0.4873 0.9061  1 Si 1.65, 1 Al 1.81
126 O 0.3324 0.9066 0.4731  1 Si 1.66
127 O 0.3344 0.8301 0.2644  1 Si 1.65, 1 Al 1.79
128 O 0.3375 0.4002 0.6942  1 Si 1.66
129 O 0.3617 0.9030 0.7543  1 S 1.47
130 O 0.3743 0.5700 0.0806  1 S 1.51
131 O 0.3742 0.7355 0.3683  1 S 1.48
132 O 0.3763 0.5782 0.8011  1 S 1.49
133 O 0.3810 0.0642 0.7552  1 S 1.49
134 O 0.3853 0.7312 0.0742  1 S 1.47
135 O 0.3892 0.4031 0.4100  1 S 1.49
136 O 0.3899 0.7280 0.7590  1 S 1.46
137 O 0.3927 0.5799 0.4027  1 S 1.46
138 O 0.3943 0.0698 0.0292  1 Si 1.62, 1 Al 1.71
139 O 0.3977 0.2481 0.1339  1 S 1.47
140 O 0.4053 0.2534 0.0234  1 S 1.50
141 O 0.4084 0.2468 0.4282  1 S 1.51
142 O 0.4095 0.0670 0.1507  1 Si 1.65, 1 Al 1.77
143 O 0.4153 0.3875 0.0798  1 S 1.49
144 O 0.4168 0.3968 0.8101  1 Si 1.62, 1 Al 1.76
145 O 0.4183 0.6044 0.6941  1 S 1.49
146 O 0.4194 0.0703 0.4258  1 Si 1.63, 1 Al 1.76
147 O 0.4227 0.2456 0.7552  1 Si 1.62
148 O 0.4239 0.6971 0.4731  1 S 1.51
149 O 0.4253 0.9190 0.0918  1 Si 1.65
150 O 0.4253 0.9232 0.3607  1 Si 1.64, 1 Al 1.79
151 O 0.5442 0.2385 0.2396  1 Si 1.64, 1 Al 1.78
152 O 0.5512 0.9474 0.8593  1 Si 1.63
153 O 0.5586 0.6132 0.1979  1 S 1.49
154 O 0.5586 0.7021 0.9707  1 S 1.47
155 O 0.5630 0.3876 0.5788  1 S 1.50
156 O 0.5668 0.3804 0.3099  1 Si 1.66, 1 Al 1.79
157 O 0.5695 0.9229 0.5790  1 S 1.49
158 O 0.5714 0.7300 0.2693  1 S 1.47
159 O 0.5774 0.0795 0.9303  1 Si 1.62, 1 Al 1.76
160 O 0.5792 0.2495 0.5263  1 S 1.48
161 O 0.5814 0.0524 0.6388  1 S 1.48
162 O 0.5844 0.0666 0.5297  1 S 1.47
163 O 0.5842 0.5757 0.9056  1 S 1.48
164 O 0.5854 0.5784 0.3045  1 S 1.48
165 O 0.5902 0.2516 0.9182  1 S 1.48
166 O 0.5988 0.2522 0.6360  1 S 1.47
167 O 0.6030 0.0630 0.2518  1 S 1.49
168 O 0.6069 0.4092 0.9045  1 S 1.50
169 O 0.6122 0.7369 0.5827  1 S 1.49
170 O 0.6130 0.9034 0.2630  1 S 1.50
171 O 0.6139 0.5742 0.5860  1 S 1.50
172 O 0.6182 0.3980 0.1900  1 Si 1.63
173 O 0.6277 0.7238 0.8655  1 S 1.49
174 O 0.6492 0.4884 0.4036  1 Si 1.64, 1 Al 1.81
175 O 0.6497 0.9066 0.9688  1 Si 1.66
176 O 0.6628 0.8170 0.7536  1 Si 1.63
177 O 0.6684 0.1631 0.4310  1 S 1.50
178 O 0.6777 0.5117 0.0794  1 S 1.49
179 O 0.6778 0.7941 0.0763  1 S 1.48
180 O 0.6786 0.1597 0.0290  1 S 1.48
181 O 0.6809 0.1692 0.1388  1 S 1.48
182 O 0.6806 0.5071 0.8020  1 S 1.47
183 O 0.6820 0.8051 0.3661  1 S 1.48
184 O 0.6850 0.1402 0.7528  1 S 1.49
185 O 0.7018 0.4738 0.6942  1 S 1.49
186 O 0.7020 0.8367 0.4735  1 S 1.49
187 O 0.7825 0.3405 0.9705  1 S 1.49
188 O 0.7896 0.9737 0.1977  1 S 1.48
189 O 0.7973 0.6402 0.2529  1 S 1.49
190 O 0.8045 0.0118 0.5793  1 S 1.49
191 O 0.8054 0.3103 0.8632  1 S 1.48
192 O 0.8049 0.6608 0.6400  1 S 1.49
193 O 0.8056 0.3050 0.5799  1 S 1.49
194 O 0.8058 0.6522 0.5308  1 S 1.48
195 O 0.8106 0.6616 0.9301  1 S 1.50
196 O 0.8128 0.9993 0.3060  1 S 1.48
197 O 0.8157 0.3154 0.2524  1 Si 1.63
198 O 0.8291 0.4097 0.4736  1 Si 1.66
199 O 0.8356 0.9889 0.9045  1 Si 1.64, 1 Al 1.79
200 O 0.8535 0.2258 0.3683  1 S 1.48
201 O 0.8593 0.8952 0.6882  1 Si 1.64
202 O 0.8604 0.0757 0.0857  1 S 1.47
203 O 0.8773 0.2381 0.0816  1 S 1.50
204 O 0.8776 0.4064 0.7610  1 S 1.49
205 O 0.8802 0.9050 0.4082  1 S 1.48
206 O 0.8853 0.7489 0.1352  1 S 1.48
207 O 0.8925 0.0751 0.4071  1 S 1.46
208 O 0.8938 0.5646 0.7450  1 S 1.51
209 O 0.8961 0.7477 0.4236  1 S 1.51
210 O 0.8968 0.5656 0.0298  1 S 1.47
211 O 0.9000 0.0788 0.8031  1 S 1.46
212 O 0.9015 0.5518 0.1392  1 S 1.48
213 O 0.9104 0.7459 0.0257  1 S 1.49
214 O 0.9105 0.2312 0.7676  1 S 1.48
215 O 0.9121 0.4225 0.0793  1 S 1.48
216 O 0.9118 0.5770 0.4318  1 Si 1.62, 1 Al 1.74
217 O 0.9119 0.8842 0.0777  1 S 1.48
218 O 0.9142 0.8862 0.8090  1 Si 1.64, 1 Al 1.79
219 O 0.9215 0.1145 0.6965  1 S 1.50
220 O 0.9216 0.1989 0.4731  1 S 1.49
221 O 0.9338 0.4418 0.3633  1 Si 1.62
222 O 0.9360 0.7409 0.7427  1 Si 1.66, 1 Al 1.75

Summary:
Total energy after the MP2020 corrections: -1486.2 eV per cell
Crystal system: triclinic
Symmetry: P1, No. 1
Calculated formation energy: -170.48 eV/f.u.

Record 3
Density functional theory data (PBE) for crystalline AlInO3 at its relaxed geometry.

Unit cell a=3.2838 b=3.2838 c=12.0235 alpha=90.00 beta=90.00 gamma=120.00
Closest atoms and distances in Å follow each position.
Atoms (fractional coordinates):
1 Al 0.3333 0.6667 0.2500  5 O 1.90
2 Al 0.6667 0.3333 0.7500  5 O 1.90
3 In 0.0000 0.0000 0.0000  6 O 2.20
4 In 0.0000 0.0000 0.5000  6 O 2.20
5 O 0.0000 0.0000 0.2500  3 Al 1.90
6 O 0.0000 0.0000 0.7500  3 Al 1.90
7 O 0.3333 0.6667 0.0922  1 Al 1.90
8 O 0.3333 0.6667 0.4078  1 Al 1.90
9 O 0.6667 0.3333 0.5922  1 Al 1.90
10 O 0.6667 0.3333 0.9078  1 Al 1.90

Summary:
Total energy after the MP2020 corrections: -69.5 eV per cell
Crystal system: hexagonal
Symmetry: P6_3/mmc, No. 194
Calculated formation energy: -13.39 eV/f.u.